No. 1
The following is a DFT calculation (PBE) of a relaxed structure of Sc2TlCu3S5.

Values from the calculation:
Volume   411.1 Å³ per cell
Spin magnetization   0.00 μB per atom

Lattice parameters (Å, degrees): 7.124 7.124 15.755 90.00 90.00 149.07
Positions (direct):
S 0.066 0.934 0.887
S 0.327 0.673 0.569
S 0.673 0.327 0.069
S 0.934 0.066 0.387
S 0.066 0.934 0.613
S 0.327 0.673 0.931
S 0.673 0.327 0.431
S 0.742 0.258 0.750
S 0.258 0.742 0.250
S 0.934 0.066 0.113
Tl 0.569 0.431 0.250
Tl 0.431 0.569 0.750
Cu 0.083 0.917 0.044
Cu 0.083 0.917 0.456
Cu 0.145 0.855 0.750
Cu 0.917 0.083 0.544
Cu 0.855 0.145 0.250
Cu 0.917 0.083 0.956
Sc 0.307 0.693 0.406
Sc 0.693 0.307 0.594
Sc 0.693 0.307 0.906
Sc 0.307 0.693 0.094

No. 2
The following is a DFT calculation (PBE) of a relaxed structure of TaCu3Se3S.

Values from the calculation:
Volume   181.9 Å³ per cell
Spin magnetization   0.00 μB per atom

Lattice parameters (Å, degrees): 5.667 5.667 5.667 89.40 89.40 89.40
Positions (direct):
Cu 0.006 0.498 0.006
Cu 0.006 0.006 0.498
Cu 0.498 0.006 0.006
Ta 0.000 0.000 0.000
S 0.234 0.234 0.234
Se 0.750 0.256 0.750
Se 0.256 0.750 0.750
Se 0.750 0.750 0.256

No. 3
The following is a DFT calculation (PBE) of a relaxed structure of Cu2SiS3.

Values from the calculation:
Volume   425.4 Å³ per cell
Spin magnetization   0.00 μB per atom

Lattice parameters (Å, degrees): 12.274 11.733 6.353 79.42 69.99 30.58
Positions (direct):
Cu 0.588 0.248 0.241
Cu 0.166 0.834 0.166
Cu 0.416 0.084 0.416
Cu 0.241 0.923 0.588
Cu 0.002 0.662 0.327
Cu 0.671 0.329 0.671
Cu 0.327 0.009 0.002
Cu 0.921 0.579 0.921
S 0.632 0.539 0.443
S 0.549 0.462 0.047
S 0.966 0.866 0.115
S 0.308 0.203 0.788
S 0.115 0.053 0.966
S 0.384 0.284 0.197
S 0.864 0.807 0.711
S 0.711 0.618 0.864
S 0.443 0.386 0.632
S 0.788 0.701 0.308
S 0.197 0.135 0.384
S 0.047 0.942 0.549
Si 0.484 0.182 0.848
Si 0.068 0.766 0.764
Si 0.764 0.402 0.068
Si 0.848 0.486 0.484

No. 4
The following is a DFT calculation (PBE) of a relaxed structure of Cu5Si2S7.

Values from the calculation:
Volume   496.7 Å³ per cell

Lattice parameters (Å, degrees): 8.763 8.763 9.592 87.83 87.83 42.45
Positions (direct):
S 0.775 0.112 0.820
S 0.362 0.670 0.962
S 0.834 0.496 0.749
S 0.920 0.255 0.090
S 0.622 0.970 0.530
S 0.255 0.920 0.590
S 0.670 0.362 0.462
S 0.376 0.080 0.886
S 0.496 0.834 0.249
S 0.202 0.566 0.661
S 0.566 0.202 0.161
S 0.112 0.775 0.320
S 0.970 0.622 0.030
S 0.080 0.376 0.386
Cu 0.479 0.193 0.727
Cu 0.456 0.786 0.799
Cu 0.593 0.943 0.079
Cu 0.943 0.593 0.579
Cu 0.734 0.079 0.376
Cu 0.870 0.232 0.664
Cu 0.079 0.734 0.876
Cu 0.193 0.479 0.227
Cu 0.786 0.456 0.299
Cu 0.232 0.870 0.164
Si 0.024 0.368 0.935
Si 0.314 0.646 0.502
Si 0.646 0.314 0.002
Si 0.368 0.024 0.435

No. 5
The following is a DFT calculation (PBE) of a relaxed structure of Cu2SiS3.

Values from the calculation:
Volume   215.7 Å³ per cell
Spin magnetization   0.00 μB per atom

Lattice parameters (Å, degrees): 6.367 6.367 6.143 90.00 90.00 120.00
Positions (direct):
S 0.647 0.647 0.007
S 0.353 0.000 0.007
S 0.667 0.333 0.517
S 0.000 0.353 0.007
S 0.333 0.667 0.517
S 0.000 0.000 0.493
Cu 0.331 0.000 0.379
Cu 0.000 0.000 0.858
Cu 0.669 0.669 0.379
Cu 0.000 0.331 0.379
Si 0.333 0.667 0.854
Si 0.667 0.333 0.854

No. 6
The following is a DFT calculation (PBE) of a relaxed structure of Cu2SiS3.

Values from the calculation:
Volume   216.5 Å³ per cell
Spin magnetization   0.00 μB per atom

Lattice parameters (Å, degrees): 6.408 6.408 7.076 63.88 63.88 59.88
Positions (direct):
S 0.134 0.297 0.626
S 0.297 0.134 0.126
S 0.976 0.783 0.112
S 0.457 0.610 0.634
S 0.610 0.457 0.134
S 0.783 0.976 0.612
Si 0.320 0.490 0.012
Si 0.490 0.320 0.512
Cu 0.008 0.167 0.998
Cu 0.167 0.008 0.498
Cu 0.840 0.667 0.492
Cu 0.667 0.840 0.992

No. 7
The following is a DFT calculation (PBE) of a relaxed structure of Cu2SiS3.

Values from the calculation:
Volume   213.3 Å³ per cell
Spin magnetization   0.00 μB per atom

Lattice parameters (Å, degrees): 6.425 6.425 6.337 81.05 81.05 120.78
Positions (direct):
Si 0.109 0.940 0.479
Si 0.940 0.109 0.979
S 0.813 0.965 0.355
S 0.124 0.647 0.382
S 0.291 0.459 0.883
S 0.459 0.291 0.383
S 0.647 0.124 0.882
S 0.965 0.813 0.855
Cu 0.248 0.758 0.003
Cu 0.588 0.413 0.001
Cu 0.758 0.248 0.503
Cu 0.413 0.588 0.501

No. 8
The following is a DFT calculation (PBE) of a relaxed structure of Cu2SiS3.

Values from the calculation:
Piezoelectric modulus e_max   0.227 C/m2
Volume   214.5 Å³ per cell
Spin magnetization   0.00 μB per atom

Lattice parameters (Å, degrees): 6.364 6.364 6.089 90.00 90.00 119.59
Positions (direct):
Cu 0.998 0.676 0.480
Cu 0.002 0.324 0.980
Cu 0.324 0.002 0.980
Cu 0.676 0.998 0.480
Si 0.332 0.332 0.511
Si 0.668 0.668 0.011
S 0.344 0.344 0.138
S 0.340 0.016 0.606
S 0.660 0.984 0.106
S 0.656 0.656 0.638
S 0.016 0.340 0.606
S 0.984 0.660 0.106

No. 9
The following is a DFT calculation (PBE) of a relaxed structure of Sm3CuSiS7.

Values from the calculation:
Piezoelectric modulus e_max   1.081 C/m2
Volume   508.0 Å³ per cell
Spin magnetization   0.00 μB per atom

Lattice parameters (Å, degrees): 10.096 10.096 5.755 90.00 90.00 120.00
Positions (direct):
S 0.667 0.333 0.470
S 0.254 0.165 0.732
S 0.835 0.089 0.732
S 0.477 0.890 0.484
S 0.523 0.110 0.984
S 0.089 0.254 0.232
S 0.110 0.587 0.484
S 0.413 0.523 0.484
S 0.587 0.477 0.984
S 0.911 0.746 0.732
S 0.165 0.911 0.232
S 0.333 0.667 0.970
S 0.746 0.835 0.232
S 0.890 0.413 0.984
Cu 0.000 0.000 0.220
Cu 0.000 0.000 0.720
Sm 0.125 0.356 0.750
Sm 0.875 0.644 0.250
Sm 0.644 0.768 0.750
Sm 0.768 0.125 0.250
Sm 0.232 0.875 0.750
Sm 0.356 0.232 0.250
Si 0.667 0.333 0.837
Si 0.333 0.667 0.337

No. 10
The following is a DFT calculation (PBE) of a relaxed structure of Tb3CuSiS7.

Values from the calculation:
Volume   488.7 Å³ per cell
Spin magnetization   0.00 μB per atom

Lattice parameters (Å, degrees): 9.945 9.945 5.706 90.00 90.00 120.00
Positions (direct):
S 0.909 0.743 0.723
S 0.478 0.892 0.487
S 0.091 0.257 0.223
S 0.892 0.414 0.987
S 0.333 0.667 0.967
S 0.667 0.333 0.467
S 0.414 0.522 0.487
S 0.165 0.909 0.223
S 0.835 0.091 0.723
S 0.743 0.835 0.223
S 0.522 0.108 0.987
S 0.586 0.478 0.987
S 0.257 0.165 0.723
S 0.108 0.586 0.487
Tb 0.125 0.356 0.748
Tb 0.356 0.231 0.248
Tb 0.231 0.875 0.748
Tb 0.769 0.125 0.248
Tb 0.875 0.644 0.248
Tb 0.644 0.769 0.748
Cu 0.000 0.000 0.201
Cu 0.000 0.000 0.701
Si 0.667 0.333 0.837
Si 0.333 0.667 0.337

No. 11
The following is a DFT calculation (PBE) of a relaxed structure of SmCuS2.

Values from the calculation:
Volume   311.8 Å³ per cell

Lattice parameters (Å, degrees): 7.127 6.454 6.835 82.55 90.00 90.00
Positions (direct):
Cu 0.162 0.577 0.450
Cu 0.838 0.423 0.550
Cu 0.662 0.423 0.050
Cu 0.338 0.577 0.950
S 0.886 0.591 0.221
S 0.386 0.409 0.279
S 0.114 0.409 0.779
S 0.726 0.081 0.002
S 0.614 0.591 0.721
S 0.774 0.081 0.502
S 0.274 0.919 0.998
S 0.226 0.919 0.498
Sm 0.951 0.808 0.800
Sm 0.549 0.808 0.300
Sm 0.451 0.192 0.700
Sm 0.049 0.192 0.200

No. 12
The following is a DFT calculation (PBE) of a relaxed structure of SmCuTeS.

Values from the calculation:
Volume   730.0 Å³ per cell
Spin magnetization   0.00 μB per atom

Lattice parameters (Å, degrees): 7.567 7.594 12.703 90.00 90.00 90.00
Positions (direct):
S 0.240 0.002 0.038
S 0.760 0.998 0.962
S 0.740 0.002 0.462
S 0.240 0.498 0.538
S 0.260 0.998 0.538
S 0.740 0.498 0.962
S 0.260 0.502 0.038
S 0.760 0.502 0.462
Cu 0.331 0.571 0.209
Cu 0.669 0.071 0.291
Cu 0.669 0.429 0.791
Cu 0.831 0.929 0.791
Cu 0.831 0.571 0.291
Cu 0.169 0.429 0.709
Cu 0.331 0.929 0.709
Cu 0.169 0.071 0.209
Sm 0.478 0.741 0.432
Sm 0.522 0.241 0.068
Sm 0.978 0.741 0.068
Sm 0.522 0.259 0.568
Sm 0.978 0.759 0.568
Sm 0.022 0.259 0.932
Sm 0.022 0.241 0.432
Sm 0.478 0.759 0.932
Te 0.109 0.778 0.307
Te 0.891 0.278 0.193
Te 0.609 0.722 0.693
Te 0.609 0.778 0.193
Te 0.891 0.222 0.693
Te 0.109 0.722 0.807
Te 0.391 0.278 0.307
Te 0.391 0.222 0.807

Summary of DFT formation energy in eV/atom
-1.253; -0.605; -0.686; -0.684; -0.566; -0.674; -0.691; -0.689; -1.837; -1.823; -1.632; -1.321
(order as listed above)
Summary of DFT total energy in eV/atom
-5.39; -5.39; -4.77; -4.74; -4.65; -4.76; -4.78; -4.78; -5.93; -5.89; -5.65; -5.22
(order as listed above)